SmAlAu: relaxed, meta-GGA r2SCAN.

Summary:
ΔH_f (0 K) (kcal/mol of atoms): -19.68

Cell lengths 4.5203, 7.3731, 7.7708 Å; angles 90.00, 90.00, 90.00 degrees
Fractional positions:
Au  0.7500  0.2071  0.0933
Au  0.2500  0.7929  0.9067
Au  0.2500  0.2929  0.5933
Au  0.7500  0.7071  0.4067
Al  0.2500  0.1733  0.9209
Al  0.7500  0.8267  0.0791
Al  0.7500  0.3267  0.4209
Al  0.2500  0.6733  0.5791
Sm  0.2500  0.0087  0.3032
Sm  0.2500  0.5087  0.1968
Sm  0.7500  0.9913  0.6968
Sm  0.7500  0.4913  0.8032